Record 1
First-principles (GGA-PBE) data for an optimized crystal structure of ZrSn3, as listed in the Materials Project database.

Values from the calculation:
**Calculated formation energy**: 0.12 eV/atom
**E**: -80.3 eV per cell

Cell lengths 7.420, 7.420, 7.420 Å; angles 90.00, 90.00, 90.00 degrees
Sites, in units of the cell vectors:
Zr 0.000 0.000 0.000
Zr 0.000 0.500 0.500
Zr 0.500 0.000 0.500
Zr 0.500 0.500 0.000
Sn 0.000 0.000 0.500
Sn 0.000 0.500 0.000
Sn 0.250 0.250 0.250
Sn 0.250 0.250 0.750
Sn 0.250 0.750 0.250
Sn 0.250 0.750 0.750
Sn 0.500 0.000 0.000
Sn 0.500 0.500 0.500
Sn 0.750 0.250 0.250
Sn 0.750 0.250 0.750
Sn 0.750 0.750 0.250
Sn 0.750 0.750 0.750

---

Record 2
First-principles (GGA-PBE) data for an optimized crystal structure of Pr3RuO7, as listed in the Materials Project database.

Values from the calculation:
**Calculated formation energy**: -3.05 eV/atom
**E**: -174.0 eV per cell

Cell lengths 6.693, 6.693, 7.656 Å; angles 90.00, 90.00, 68.27 degrees
Sites, in units of the cell vectors:
Pr 0.000 0.000 0.000
Pr 0.000 0.000 0.500
Pr 0.089 0.471 0.750
Pr 0.471 0.089 0.250
Pr 0.529 0.911 0.750
Pr 0.911 0.529 0.250
Ru 0.500 0.500 0.000
Ru 0.500 0.500 0.500
O 0.104 0.159 0.250
O 0.159 0.104 0.750
O 0.190 0.560 0.040
O 0.190 0.560 0.460
O 0.419 0.581 0.750
O 0.440 0.810 0.040
O 0.440 0.810 0.460
O 0.560 0.190 0.540
O 0.560 0.190 0.960
O 0.581 0.419 0.250
O 0.810 0.440 0.540
O 0.810 0.440 0.960
O 0.841 0.896 0.250
O 0.896 0.841 0.750

---

Record 3
First-principles (GGA-PBE) data for an optimized crystal structure of CsNd5Se8, as listed in the Materials Project database.

Values from the calculation:
**Largest piezoelectric modulus**: 0.32 C/m²
**Calculated formation energy**: -2.03 eV/atom
**E**: -77.4 eV per cell

Cell lengths 7.926, 7.926, 7.926 Å; angles 109.09, 109.09, 110.24 degrees
Sites, in units of the cell vectors:
Cs 0.000 0.000 0.000
Nd 0.117 0.503 0.877
Nd 0.250 0.750 0.500
Nd 0.497 0.374 0.614
Nd 0.626 0.240 0.123
Nd 0.760 0.883 0.386
Se 0.030 0.289 0.428
Se 0.244 0.130 0.742
Se 0.388 0.502 0.258
Se 0.397 0.970 0.259
Se 0.498 0.756 0.886
Se 0.711 0.139 0.741
Se 0.861 0.603 0.572
Se 0.870 0.612 0.114

---

Record 4
First-principles (GGA-PBE) data for an optimized crystal structure of EuZn2P2, as listed in the Materials Project database.

Values from the calculation:
**Calculated formation energy**: -0.72 eV/atom
**E**: -27.2 eV per cell

Cell lengths 4.114, 4.114, 6.862 Å; angles 90.00, 90.00, 120.00 degrees
Sites, in units of the cell vectors:
Eu 0.000 0.000 0.000
Zn 0.333 0.667 0.363
Zn 0.667 0.333 0.637
P 0.333 0.667 0.733
P 0.667 0.333 0.267

---

Record 5
First-principles (GGA-PBE) data for an optimized crystal structure of Pr3P6Pd20, as listed in the Materials Project database.

Values from the calculation:
**Calculated formation energy**: -0.69 eV/atom
**E**: -170.5 eV per cell

Cell lengths 8.772, 8.772, 8.772 Å; angles 60.00, 60.00, 60.00 degrees
Sites, in units of the cell vectors:
Pr 0.000 0.000 0.000
Pr 0.250 0.250 0.250
Pr 0.750 0.750 0.750
P 0.262 0.262 0.738
P 0.262 0.738 0.262
P 0.262 0.738 0.738
P 0.738 0.262 0.262
P 0.738 0.262 0.738
P 0.738 0.738 0.262
Pd 0.000 0.000 0.348
Pd 0.000 0.000 0.652
Pd 0.000 0.348 0.000
Pd 0.000 0.348 0.652
Pd 0.000 0.652 0.000
Pd 0.000 0.652 0.348
Pd 0.160 0.613 0.613
Pd 0.348 0.000 0.000
Pd 0.348 0.000 0.652
Pd 0.348 0.652 0.000
Pd 0.387 0.387 0.387
Pd 0.387 0.387 0.840
Pd 0.387 0.840 0.387
Pd 0.613 0.160 0.613
Pd 0.613 0.613 0.160
Pd 0.613 0.613 0.613
Pd 0.652 0.000 0.000
Pd 0.652 0.000 0.348
Pd 0.652 0.348 0.000
Pd 0.840 0.387 0.387

---

Record 6
First-principles (GGA-PBE) data for an optimized crystal structure of Ba2TlF7, as listed in the Materials Project database.

Values from the calculation:
**Calculated formation energy**: -3.38 eV/atom
**E**: -200.6 eV per cell

Cell lengths 6.049, 12.965, 9.186 Å; angles 90.00, 90.85, 90.00 degrees
Sites, in units of the cell vectors:
Ba 0.227 0.062 0.163
Ba 0.227 0.438 0.663
Ba 0.245 0.719 0.057
Ba 0.245 0.781 0.557
Ba 0.755 0.219 0.443
Ba 0.755 0.281 0.943
Ba 0.773 0.562 0.337
Ba 0.773 0.938 0.837
Tl 0.294 0.127 0.686
Tl 0.294 0.373 0.186
Tl 0.706 0.627 0.814
Tl 0.706 0.873 0.314
F 0.014 0.236 0.702
F 0.014 0.264 0.202
F 0.072 0.603 0.537
F 0.072 0.897 0.037
F 0.146 0.528 0.186
F 0.146 0.972 0.686
F 0.237 0.164 0.455
F 0.237 0.336 0.955
F 0.378 0.565 0.877
F 0.378 0.935 0.377
F 0.439 0.099 0.903
F 0.439 0.401 0.403
F 0.493 0.726 0.308
F 0.493 0.774 0.808
F 0.507 0.226 0.192
F 0.507 0.274 0.692
F 0.561 0.599 0.597
F 0.561 0.901 0.097
F 0.622 0.065 0.623
F 0.622 0.435 0.123
F 0.763 0.664 0.045
F 0.763 0.836 0.545
F 0.854 0.028 0.314
F 0.854 0.472 0.814
F 0.928 0.103 0.963
F 0.928 0.397 0.463
F 0.986 0.736 0.798
F 0.986 0.764 0.298

---

Record 7
First-principles (GGA-PBE) data for an optimized crystal structure of Sr2PrO4, as listed in the Materials Project database.

Values from the calculation:
**Calculated formation energy**: -3.07 eV/atom
**E**: -93.3 eV per cell

Cell lengths 6.282, 10.388, 3.735 Å; angles 90.00, 90.00, 90.00 degrees
Sites, in units of the cell vectors:
Sr 0.064 0.177 0.000
Sr 0.436 0.677 0.000
Sr 0.564 0.323 0.000
Sr 0.936 0.823 0.000
Pr 0.000 0.500 0.500
Pr 0.500 0.000 0.500
O 0.152 0.706 0.500
O 0.237 0.456 0.000
O 0.263 0.956 0.000
O 0.348 0.206 0.500
O 0.652 0.794 0.500
O 0.737 0.044 0.000
O 0.763 0.544 0.000
O 0.848 0.294 0.500

---

Record 8
First-principles (GGA-PBE) data for an optimized crystal structure of MgCu2WS4, as listed in the Materials Project database.

Values from the calculation:
**Offset from the most stable computed form**: 2.57 kJ/mol of atoms
**Calculated formation energy**: -0.62 eV/atom
**E**: -42.2 eV per cell

Cell lengths 5.331, 5.487, 6.163 Å; angles 90.00, 90.00, 90.00 degrees
Sites, in units of the cell vectors:
Mg 0.000 0.000 0.000
Cu 0.000 0.000 0.500
Cu 0.500 0.500 0.500
W 0.000 0.500 0.500
S 0.233 0.256 0.270
S 0.233 0.744 0.730
S 0.767 0.256 0.730
S 0.767 0.744 0.270

---

Record 9
First-principles (GGA-PBE) data for an optimized crystal structure of TeMoWSeS2, as listed in the Materials Project database.

Values from the calculation:
**Offset from the most stable computed form**: 1.57 kJ/mol of atoms
**Calculated formation energy**: -0.74 eV/atom
**E**: -84.3 eV per cell

Cell lengths 3.306, 3.306, 39.148 Å; angles 90.00, 90.00, 120.00 degrees
Sites, in units of the cell vectors:
Te 0.000 0.000 0.000
Te 0.000 0.000 0.098
Mo 0.667 0.333 0.049
Mo 0.667 0.333 0.674
W 0.000 0.000 0.239
W 0.000 0.000 0.861
Se 0.667 0.333 0.195
Se 0.667 0.333 0.282
S 0.000 0.000 0.635
S 0.000 0.000 0.713
S 0.667 0.333 0.822
S 0.667 0.333 0.900

---

Record 10
First-principles (GGA-PBE) data for an optimized crystal structure of CaB2H2, as listed in the Materials Project database.

Values from the calculation:
**Offset from the most stable computed form**: 16.98 kJ/mol of atoms
**Calculated formation energy**: -0.14 eV/atom
**E**: -90.0 eV per cell

Cell lengths 3.361, 3.593, 16.623 Å; angles 90.00, 94.25, 90.00 degrees
Sites, in units of the cell vectors:
Ca 0.225 0.012 0.386
Ca 0.225 0.488 0.886
Ca 0.775 0.512 0.114
Ca 0.775 0.988 0.614
B 0.112 0.532 0.253
B 0.112 0.968 0.753
B 0.251 0.502 0.506
B 0.251 0.998 0.006
B 0.749 0.002 0.994
B 0.749 0.498 0.494
B 0.888 0.032 0.247
B 0.888 0.468 0.747
H 0.315 0.540 0.194
H 0.315 0.960 0.694
H 0.368 0.525 0.311
H 0.368 0.975 0.811
H 0.632 0.025 0.189
H 0.632 0.475 0.689
H 0.685 0.040 0.306
H 0.685 0.460 0.806

---

Record 11
First-principles (GGA-PBE) data for an optimized crystal structure of NdMo6S8, as listed in the Materials Project database.

Values from the calculation:
**Calculated formation energy**: -1.18 eV/atom
**E**: -116.6 eV per cell

Cell lengths 6.556, 6.556, 6.556 Å; angles 89.07, 89.07, 89.07 degrees
Sites, in units of the cell vectors:
Nd 0.000 0.000 0.000
Mo 0.226 0.419 0.563
Mo 0.419 0.563 0.226
Mo 0.437 0.774 0.581
Mo 0.563 0.226 0.419
Mo 0.581 0.437 0.774
Mo 0.774 0.581 0.437
S 0.126 0.748 0.375
S 0.243 0.243 0.243
S 0.252 0.625 0.874
S 0.375 0.126 0.748
S 0.625 0.874 0.252
S 0.748 0.375 0.126
S 0.757 0.757 0.757
S 0.874 0.252 0.625

---

Record 12
First-principles (GGA-PBE) data for an optimized crystal structure of NbFeRu2, as listed in the Materials Project database.

Values from the calculation:
**Calculated formation energy**: -0.09 eV/atom
**E**: -149.9 eV per cell

Cell lengths 6.137, 6.137, 6.137 Å; angles 90.00, 90.00, 90.00 degrees
Sites, in units of the cell vectors:
Nb 0.000 0.000 0.000
Nb 0.000 0.500 0.500
Nb 0.500 0.000 0.500
Nb 0.500 0.500 0.000
Fe 0.000 0.000 0.500
Fe 0.000 0.500 0.000
Fe 0.500 0.000 0.000
Fe 0.500 0.500 0.500
Ru 0.250 0.250 0.250
Ru 0.250 0.250 0.750
Ru 0.250 0.750 0.250
Ru 0.250 0.750 0.750
Ru 0.750 0.250 0.250
Ru 0.750 0.250 0.750
Ru 0.750 0.750 0.250
Ru 0.750 0.750 0.750